(1)
! Li5Co4Ni2O12 (PBE with a Hubbard U, relaxed); values from VASP
! MP2020-corrected energy in eV per atom: -6.260
! Total moment in μB/cell: 15.00
! Formation energy in eV/atom: -1.525
! Raw total energy in eV per atom: -5.40
&SYSTEM
  ibrav = 0, nat = 69, ntyp = 4
/
ATOMIC_SPECIES
O 16.00 O.upf
Li 6.94 Li.upf
Co 58.93 Co.upf
Ni 58.69 Ni.upf
ATOMIC_POSITIONS angstrom
O -4.3930 5.7517 -1.1528
O -3.9022 7.0989 -3.9194
O -2.3236 4.5344 -3.9944
O 1.6333 3.8316 -8.9278
O -5.1091 4.6051 -4.0537
O 2.7706 6.5687 -8.9997
Li -5.5796 1.3578 -2.4556
Li -4.4541 4.0457 -2.2978
Li -2.2479 2.5746 -2.7112
Li -5.2185 4.6265 -7.3321
Co -3.6975 3.8056 -5.0556
O -2.2656 3.1072 -6.0870
Li -0.8689 7.1789 -7.3691
Li -3.5985 2.1502 -7.3353
O -3.7450 2.2587 -3.9943
Co 0.6009 1.2234 -4.9804
Li -6.4835 2.2234 -7.3390
O -5.6802 1.3951 -8.9946
O 0.1799 3.3092 -0.9542
O -2.9206 1.3842 -9.0322
Li 0.6893 3.0530 -2.7840
Co 1.4056 7.3510 -10.0521
O -7.0502 0.8226 -1.0027
Li -0.0012 3.3416 -7.7539
Li -2.3160 4.7748 -7.4092
Co -1.3751 2.2440 -10.0316
O -0.0229 6.5236 -9.0549
Ni 0.0382 4.8401 -10.0294
O -4.1991 4.0671 -8.8911
O 2.1664 5.4218 -6.0388
Ni -4.3455 7.3562 -10.0417
O -1.5038 5.9159 -1.0485
O 0.6234 3.0329 -5.9931
O -0.7941 0.2407 -6.0988
O -3.7729 0.4177 -6.2165
Co -0.8352 3.8280 -5.0013
O -0.8287 7.2621 -3.8785
O 0.1569 1.5375 -8.8448
Co -5.1450 1.3027 -5.0453
O -2.9002 3.2450 -1.0359
Li 3.1256 6.9118 -2.3903
O -1.5265 0.7723 -1.0382
O -5.6321 3.1800 -1.0028
Co -5.7467 4.8448 -10.0211
Co -1.4354 7.3348 -10.0242
O -5.0364 2.9948 -6.1924
Li -2.8406 6.2936 -2.4568
O -2.7368 6.5579 -8.9259
O -0.7740 2.2408 -3.9739
Ni -2.2910 6.3597 -5.0112
Ni -2.2497 1.2489 -5.0456
O 0.4770 4.6205 -3.9387
Li 2.0502 7.1746 -7.3108
Ni 2.0892 3.8194 -4.9988
Co 0.5712 6.3292 -5.0211
Co 3.5337 6.2559 -5.0270
O -3.8049 5.4197 -6.0833
O -4.3407 0.5762 -1.0412
O -0.8126 5.4146 -6.0887
O -6.6084 2.2145 -3.9787
Ni -4.2888 2.2744 -10.0219
O -6.6681 0.5622 -6.1773
Li -8.0984 0.0354 -7.5038
O 2.1108 7.0069 -4.0355
O -1.3087 3.9854 -9.0025
O 1.4234 5.8749 -0.9729
Co -7.1808 2.2680 -9.9961
Co -2.8771 4.8089 -10.0362
Li 0.0341 6.3312 -2.3912
CELL_PARAMETERS angstrom
-8.7028 0.0000 0.0000
4.3399 7.5609 0.0000
-0.0309 -0.1387 -10.0527

---

(2)
! Li4Co5NiO12 (PBE with a Hubbard U, relaxed); values from VASP
! MP2020-corrected energy in eV per atom: -6.415
! Total moment in μB/cell: 10.00
! Formation energy in eV/atom: -1.491
! Raw total energy in eV per atom: -5.55
! Relative energy among the computed polymorphs in kJ per mole of atoms: 0.0
&SYSTEM
  ibrav = 0, nat = 44, ntyp = 4
/
ATOMIC_SPECIES
O 16.00 O.upf
Co 58.93 Co.upf
Ni 58.69 Ni.upf
Li 6.94 Li.upf
ATOMIC_POSITIONS angstrom
O 0.2284 3.2177 5.8525
Co 3.1300 -0.1909 14.8253
Ni -0.7649 -1.2930 20.0673
O -1.9719 2.2220 10.9065
O -1.5047 2.8225 0.9248
O 1.5144 2.5008 13.7029
Li 1.6035 -0.0074 17.3324
Li -0.1985 2.4792 12.3060
Co 1.0420 1.8092 4.8494
Co -1.4016 3.2552 4.8320
Co -1.7723 2.5918 14.8542
O 2.3257 1.2782 15.8859
O 2.6690 1.8094 5.8483
Li 0.1352 3.0406 2.3235
O 1.5521 -0.2051 13.7865
O 3.6704 0.7797 8.7892
Li 2.2174 1.0883 12.3430
O 3.1671 0.1276 0.9219
Co 0.7201 1.1971 14.8197
O -1.4479 2.9352 18.7427
O -0.0347 -0.1552 15.9493
O 1.1963 2.0353 8.7353
O 0.3216 0.5552 6.0301
O -1.1789 3.6038 8.7769
Li 1.9142 0.5650 7.3418
Co 1.7314 0.1557 19.8656
Li 2.5571 1.6404 2.3233
O 1.7943 3.1213 3.6852
Li -0.8589 1.3999 17.3440
O -0.9558 1.2735 13.8174
O 1.7815 0.3986 3.8276
Co 2.0719 0.8071 9.8423
Co -0.3579 2.2091 9.8416
O 3.2250 0.2358 18.7413
Li -0.4598 1.9528 7.3736
Co -0.7711 1.6007 19.8679
O 0.9336 1.6538 0.8798
Co 3.5180 0.4148 4.8297
O -0.1470 2.6376 15.8050
O -0.5478 1.7439 3.8272
Ni 2.1068 3.6772 9.6413
O 0.7835 1.4088 18.7817
O 2.9003 -0.5661 10.8909
O 0.5701 0.9541 10.9524
CELL_PARAMETERS angstrom
-2.4330 4.2942 -0.1978
-0.7584 -1.3070 20.0703
4.9252 0.0465 -0.2007

---

(3)
! Li2Co3NiO8 (PBE with a Hubbard U, relaxed); values from VASP
! MP2020-corrected energy in eV per atom: -6.254
! Total moment in μB/cell: 10.99
! Formation energy in eV/atom: -1.218
! Raw total energy in eV per atom: -5.33
! Relative energy among the computed polymorphs in kJ per mole of atoms: 21.4
&SYSTEM
  ibrav = 0, nat = 14, ntyp = 4
/
ATOMIC_SPECIES
O 16.00 O.upf
Co 58.93 Co.upf
Ni 58.69 Ni.upf
Li 6.94 Li.upf
ATOMIC_POSITIONS angstrom
O 9.5621 0.0000 3.3981
O 3.4581 0.0000 1.2289
Co 4.0660 -1.4176 2.3135
Co 4.8882 0.0000 0.0000
O 8.1293 0.0000 1.3459
O 7.3990 1.2592 3.4010
O 5.6212 -1.2592 1.2261
O 4.8909 0.0000 3.2811
Ni 6.5101 0.0000 2.3135
O 5.6212 1.2592 1.2261
Li 1.6333 0.0000 0.5804
Co 4.0660 1.4176 2.3135
Li 11.3868 0.0000 4.0466
O 7.3990 -1.2592 3.4010
CELL_PARAMETERS angstrom
4.8882 -2.8351 0.0000
4.8882 2.8351 0.0000
3.2438 0.0000 4.6271

---

(4)
! LiCo3NiO8 (PBE with a Hubbard U, relaxed); values from VASP
! MP2020-corrected energy in eV per atom: -6.503
! Total moment in μB/cell: 6.00
! Formation energy in eV/atom: -1.226
! Raw total energy in eV per atom: -5.51
! Relative energy among the computed polymorphs in kJ per mole of atoms: 0.4
&SYSTEM
  ibrav = 0, nat = 26, ntyp = 4
/
ATOMIC_SPECIES
O 16.00 O.upf
Ni 58.69 Ni.upf
Co 58.93 Co.upf
Li 6.94 Li.upf
ATOMIC_POSITIONS angstrom
O -3.2483 1.6023 2.3966
O -5.3623 2.0135 6.3737
O -3.4528 3.8625 4.0657
O -1.7872 -3.6998 4.6507
O -2.6979 0.8170 5.6570
Ni -3.5367 -3.0558 3.7749
Co -3.5748 -0.8433 5.5122
Co -6.0483 -1.9319 4.5249
Co -2.5466 3.3365 2.4855
O -0.9127 0.5410 1.5855
Li -1.8052 0.6829 3.6196
O -4.4979 -0.3598 7.0659
O -0.9551 2.7176 3.3010
O -1.9582 -1.4534 6.3372
Li -5.3440 -2.3692 7.4048
O -4.4523 -2.5027 5.3686
Co -4.5660 -7.2358 6.8025
Co -6.0848 0.2809 6.2612
O -3.6964 -5.5491 6.9590
O -6.2359 -2.2281 9.4383
O -3.9006 -3.2886 8.6278
O -5.1908 -0.2326 4.6869
O -2.6519 -1.3275 3.9584
Ni -0.0003 0.0005 0.0005
Co -2.0920 -6.1471 7.7897
O -6.1940 -4.4042 7.7232
CELL_PARAMETERS angstrom
-0.0729 4.4257 3.4729
-5.0208 2.2481 1.4983
-2.0555 -8.3602 6.0532